KTiP2O7: relaxed, PBE-GGA.

abc: 7.5203 10.4425 8.2959
angles: 90.00 106.60 90.00
Space group P2_1/c (No. 14)
Inequivalent atoms, fractional coordinates:
K  0.1806  0.1756  0.0591 x4
Ti  0.2359  0.6016  0.2596 x4
P  0.1334  0.5978  0.8264 x4
P  0.4437  0.6388  0.6899 x4
O  0.0043  0.0044  0.2241 x4
O  0.0782  0.7320  0.7539 x4
O  0.1503  0.5915  0.0135 x4
O  0.3236  0.6116  0.5095 x4
O  0.3386  0.5642  0.8098 x4
O  0.3634  0.0797  0.7713 x4
O  0.4557  0.7191  0.2381 x4

Values from the calculation:
MP2020-corrected energy	-7.83	eV per atom
ρ	2.776	g/cm³
total DFT energy (no corrections)	-7.39	eV per atom

K3Ti3P5O20: relaxed, PBE-GGA.

abc: 18.3423 6.3678 14.8776
angles: 90.00 90.00 90.00
Space group Pca2_1 (No. 29)
Inequivalent atoms, fractional coordinates:
K  0.1458  0.1378  0.0000 x4
K  0.1528  0.1214  0.5513 x4
K  0.1781  0.1573  0.2785 x4
Ti  0.0425  0.7489  0.1483 x4
Ti  0.0531  0.7460  0.3863 x4
Ti  0.1485  0.7496  0.7815 x4
P  0.0058  0.2453  0.4158 x4
P  0.0126  0.7534  0.6205 x4
P  0.1041  0.2476  0.7765 x4
P  0.2201  0.6359  0.1294 x4
P  0.2278  0.6337  0.4391 x4
O  0.0131  0.7623  0.0158 x4
O  0.0311  0.4470  0.1437 x4
O  0.0310  0.7609  0.5200 x4
O  0.0397  0.0627  0.1445 x4
O  0.0501  0.4440  0.3926 x4
O  0.0541  0.2439  0.8602 x4
O  0.0568  0.0599  0.3913 x4
O  0.0625  0.2366  0.6866 x4
O  0.0642  0.7632  0.8579 x4
O  0.0701  0.7507  0.2653 x4
O  0.0849  0.7664  0.6748 x4
O  0.1465  0.7486  0.1110 x4
O  0.1503  0.4506  0.7781 x4
O  0.1582  0.7501  0.4091 x4
O  0.1589  0.0628  0.7823 x4
O  0.2071  0.7466  0.8940 x4
O  0.2161  0.4003  0.1338 x4
O  0.2272  0.3981  0.4333 x4
O  0.2305  0.7112  0.5438 x4
O  0.2403  0.7487  0.7076 x4

Values from the calculation:
MP2020-corrected energy	-7.92	eV per atom
ρ	2.812	g/cm³
total DFT energy (no corrections)	-7.48	eV per atom

K2YTiP3O12: relaxed, PBE-GGA.

abc: 10.2994 10.3543 20.6010
angles: 90.01 90.06 90.06
Space group P1 (No. 1)
Inequivalent atoms, fractional coordinates:
K  0.0000  0.0000  0.0000 x1
K  0.0004  0.0008  0.4994 x1
K  0.0932  0.4955  0.2024 x1
K  0.0970  0.4931  0.7032 x1
K  0.2246  0.7755  0.8832 x1
K  0.2282  0.7760  0.3829 x1
K  0.3671  0.1246  0.6329 x1
K  0.3688  0.1313  0.1363 x1
K  0.4957  0.4045  0.4523 x1
K  0.4957  0.4083  0.9538 x1
K  0.5927  0.9054  0.2482 x1
K  0.5970  0.9003  0.7490 x1
K  0.7240  0.6407  0.0663 x1
K  0.7305  0.6353  0.5680 x1
K  0.8571  0.2683  0.3171 x1
K  0.8611  0.2668  0.8167 x1
Y  0.2106  0.1195  0.8084 x1
Y  0.2115  0.1170  0.3107 x1
Y  0.3795  0.7840  0.0574 x1
Y  0.3832  0.7829  0.5585 x1
Y  0.6439  0.0560  0.4263 x1
Y  0.6459  0.0560  0.9278 x1
Y  0.7171  0.2895  0.1406 x1
Y  0.9503  0.8443  0.6768 x1
Ti  0.1471  0.3473  0.0306 x1
Ti  0.1519  0.3494  0.5300 x1
Ti  0.4355  0.5541  0.2788 x1
Ti  0.4416  0.5518  0.7804 x1
Ti  0.7103  0.2872  0.6434 x1
Ti  0.8806  0.6160  0.3940 x1
Ti  0.8830  0.6163  0.8922 x1
Ti  0.9429  0.8423  0.1743 x1
P  0.0224  0.1736  0.6581 x1
P  0.0337  0.1543  0.1608 x1
P  0.0512  0.6581  0.0376 x1
P  0.0619  0.6571  0.5325 x1
P  0.1662  0.4409  0.3738 x1
P  0.1693  0.4441  0.8751 x1
P  0.2554  0.8177  0.2198 x1
P  0.2668  0.8128  0.7233 x1
P  0.3271  0.0861  0.4750 x1
P  0.3293  0.0917  0.9728 x1
P  0.4121  0.4621  0.1230 x1
P  0.4248  0.4601  0.6238 x1
P  0.5265  0.2502  0.2869 x1
P  0.5319  0.2439  0.7829 x1
P  0.5680  0.7287  0.4078 x1
P  0.5699  0.7282  0.9082 x1
P  0.6753  0.9799  0.5867 x1
P  0.6819  0.9589  0.0862 x1
P  0.7533  0.5653  0.7382 x1
P  0.7568  0.5829  0.2398 x1
P  0.8407  0.3362  0.4885 x1
P  0.8436  0.3414  0.9818 x1
P  0.9202  0.9234  0.8370 x1
P  0.9208  0.9200  0.3306 x1
O  0.0311  0.0067  0.1432 x1
O  0.0320  0.0337  0.6338 x1
O  0.0462  0.5319  0.3672 x1
O  0.0474  0.9909  0.3467 x1
O  0.0527  0.5395  0.8686 x1
O  0.0534  0.9880  0.8445 x1
O  0.0601  0.5137  0.0588 x1
O  0.0701  0.5127  0.5543 x1
O  0.0844  0.2340  0.1013 x1
O  0.0900  0.2673  0.6094 x1
O  0.0910  0.1920  0.7238 x1
O  0.1086  0.7792  0.2162 x1
O  0.1272  0.7595  0.7286 x1
O  0.1288  0.1785  0.2166 x1
O  0.1291  0.3077  0.3471 x1
O  0.1316  0.3111  0.8483 x1
O  0.1849  0.7130  0.0195 x1
O  0.1967  0.7083  0.5149 x1
O  0.2124  0.4336  0.4459 x1
O  0.2130  0.4378  0.9477 x1
O  0.2334  0.1942  0.5016 x1
O  0.2371  0.2002  0.9991 x1
O  0.2774  0.5020  0.3323 x1
O  0.2801  0.9299  0.2666 x1
O  0.2811  0.5031  0.8329 x1
O  0.2882  0.9339  0.7650 x1
O  0.2903  0.0600  0.9030 x1
O  0.2903  0.4059  0.0868 x1
O  0.2907  0.0542  0.4048 x1
O  0.3023  0.8410  0.6527 x1
O  0.3027  0.9680  0.5181 x1
O  0.3071  0.8504  0.1524 x1
O  0.3088  0.9732  0.0166 x1
O  0.3148  0.3980  0.5817 x1
O  0.3322  0.7002  0.2490 x1
O  0.3623  0.7078  0.7512 x1
O  0.3793  0.4669  0.1971 x1
O  0.3799  0.4663  0.6960 x1
O  0.3919  0.1987  0.2692 x1
O  0.3968  0.1930  0.7652 x1
O  0.4449  0.5966  0.0976 x1
O  0.4600  0.5939  0.5976 x1
O  0.4674  0.1367  0.4803 x1
O  0.4696  0.1430  0.9770 x1
O  0.4982  0.7077  0.4727 x1
O  0.4975  0.7082  0.9725 x1
O  0.5004  0.6393  0.3570 x1
O  0.5037  0.6351  0.8585 x1
O  0.5191  0.3986  0.3038 x1
O  0.5236  0.3883  0.8049 x1
O  0.5250  0.3698  0.1094 x1
O  0.5412  0.9165  0.5938 x1
O  0.5463  0.3710  0.6168 x1
O  0.5582  0.8693  0.3846 x1
O  0.5609  0.8688  0.8847 x1
O  0.5661  0.8679  0.0967 x1
O  0.5811  0.1851  0.3480 x1
O  0.5952  0.1668  0.8382 x1
O  0.6073  0.6068  0.7398 x1
O  0.6099  0.6202  0.2389 x1
O  0.6209  0.2273  0.2310 x1
O  0.6233  0.2274  0.7231 x1
O  0.6490  0.0966  0.1072 x1
O  0.6610  0.1273  0.6047 x1
O  0.7127  0.6877  0.4169 x1
O  0.7138  0.6851  0.9162 x1
O  0.7285  0.9696  0.5169 x1
O  0.7312  0.9544  0.0156 x1
O  0.7643  0.2304  0.9526 x1
O  0.7662  0.2278  0.4542 x1
O  0.7664  0.9132  0.6347 x1
O  0.7675  0.4388  0.6978 x1
O  0.7831  0.4598  0.2006 x1
O  0.7863  0.3620  0.5578 x1
O  0.7919  0.3819  0.0485 x1
O  0.7922  0.9050  0.1318 x1
O  0.8064  0.5589  0.3105 x1
O  0.8072  0.9887  0.3638 x1
O  0.8079  0.5432  0.8078 x1
O  0.8252  0.4609  0.4465 x1
O  0.8269  0.9898  0.8837 x1
O  0.8323  0.4562  0.9338 x1
O  0.8316  0.6696  0.7029 x1
O  0.8372  0.6930  0.2071 x1
O  0.8686  0.9316  0.7670 x1
O  0.8783  0.2164  0.6655 x1
O  0.8937  0.9228  0.2559 x1
O  0.8988  0.2033  0.1791 x1
O  0.9349  0.7780  0.3547 x1
O  0.9358  0.7768  0.8558 x1
O  0.9571  0.6743  0.9790 x1
O  0.9700  0.6745  0.4729 x1
O  0.9872  0.2955  0.4902 x1
O  0.9888  0.2983  0.9852 x1
O  0.9906  0.7363  0.0953 x1
O  0.9977  0.7330  0.5878 x1

Values from the calculation:
MP2020-corrected energy	-7.95	eV per atom
ρ	3.023	g/cm³
total DFT energy (no corrections)	-7.51	eV per atom

K2YTiP3O12: relaxed, PBE-GGA.

abc: 10.3063 10.3063 10.3063
angles: 90.00 90.00 90.00
Space group P2_13 (No. 198)
Inequivalent atoms, fractional coordinates:
K  0.0694  0.0694  0.0694 x4
K  0.2045  0.7045  0.7955 x4
Y  0.0833  0.9167  0.4167 x4
Ti  0.1440  0.3560  0.6440 x4
P  0.0451  0.7401  0.1159 x12
O  0.0064  0.4722  0.7066 x12
O  0.0076  0.1063  0.3475 x12
O  0.0182  0.8367  0.2259 x12
O  0.0843  0.1936  0.7351 x12

Values from the calculation:
MP2020-corrected energy	-7.94	eV per atom
ρ	3.033	g/cm³
total DFT energy (no corrections)	-7.51	eV per atom